(1)
# PBE Ho4MgRu, relaxed
# formation enthalpy at 0 K = -0.252 eV per atom
data_Ho4MgRu
_chemical_formula_sum 'Ho16 Mg4 Ru4'
_symmetry_space_group_name_H-M 'P 1'
_symmetry_Int_Tables_number 1
_symmetry_space_group_name_Hall 'P 1'
_cell_length_a 9.669
_cell_length_b 9.669
_cell_length_c 9.669
_cell_angle_alpha 60.00
_cell_angle_beta 60.00
_cell_angle_gamma 60.00
loop_
_atom_site_label
_atom_site_type_symbol
_atom_site_fract_x
_atom_site_fract_y
_atom_site_fract_z
Ho1 Ho 0.031 0.656 0.656
Ho2 Ho 0.063 0.063 0.437
Ho3 Ho 0.063 0.437 0.063
Ho4 Ho 0.063 0.437 0.437
Ho5 Ho 0.186 0.186 0.814
Ho6 Ho 0.186 0.814 0.186
Ho7 Ho 0.186 0.814 0.814
Ho8 Ho 0.437 0.063 0.063
Ho9 Ho 0.437 0.063 0.437
Ho10 Ho 0.437 0.437 0.063
Ho11 Ho 0.656 0.031 0.656
Ho12 Ho 0.656 0.656 0.031
Ho13 Ho 0.656 0.656 0.656
Ho14 Ho 0.814 0.186 0.186
Ho15 Ho 0.814 0.186 0.814
Ho16 Ho 0.814 0.814 0.186
Mg1 Mg 0.421 0.421 0.421
Mg2 Mg 0.421 0.421 0.737
Mg3 Mg 0.421 0.737 0.421
Mg4 Mg 0.737 0.421 0.421
Ru1 Ru 0.419 0.860 0.860
Ru2 Ru 0.860 0.419 0.860
Ru3 Ru 0.860 0.860 0.419
Ru4 Ru 0.860 0.860 0.860


(2)
# PBE SmSnPd2, relaxed
# formation enthalpy at 0 K = -0.823 eV per atom
data_SmSnPd2
_chemical_formula_sum 'Sm1 Sn1 Pd2'
_symmetry_space_group_name_H-M 'P 1'
_symmetry_Int_Tables_number 1
_symmetry_space_group_name_Hall 'P 1'
_cell_length_a 4.870
_cell_length_b 4.870
_cell_length_c 4.870
_cell_angle_alpha 60.00
_cell_angle_beta 60.00
_cell_angle_gamma 60.00
loop_
_atom_site_label
_atom_site_type_symbol
_atom_site_fract_x
_atom_site_fract_y
_atom_site_fract_z
Sm1 Sm 0.000 0.000 0.000
Sn1 Sn 0.500 0.500 0.500
Pd1 Pd 0.250 0.250 0.250
Pd2 Pd 0.750 0.750 0.750


(3)
# PBE Ba2GeSe4, relaxed
# formation enthalpy at 0 K = -1.623 eV per atom
data_Ba2GeSe4
_chemical_formula_sum 'Ba4 Ge2 Se8'
_symmetry_space_group_name_H-M 'P 1'
_symmetry_Int_Tables_number 1
_symmetry_space_group_name_Hall 'P 1'
_cell_length_a 7.219
_cell_length_b 7.180
_cell_length_c 9.264
_cell_angle_alpha 90.00
_cell_angle_beta 108.51
_cell_angle_gamma 90.00
loop_
_atom_site_label
_atom_site_type_symbol
_atom_site_fract_x
_atom_site_fract_y
_atom_site_fract_z
Ba1 Ba 0.221 0.250 0.050
Ba2 Ba 0.274 0.250 0.571
Ba3 Ba 0.726 0.750 0.429
Ba4 Ba 0.779 0.750 0.950
Ge1 Ge 0.212 0.750 0.793
Ge2 Ge 0.788 0.250 0.207
Se1 Se 0.004 0.509 0.268
Se2 Se 0.004 0.991 0.268
Se3 Se 0.374 0.750 0.061
Se4 Se 0.412 0.750 0.631
Se5 Se 0.588 0.250 0.369
Se6 Se 0.626 0.250 0.939
Se7 Se 0.996 0.009 0.732
Se8 Se 0.996 0.491 0.732


(4)
# PBE EuAlSi, relaxed
# formation enthalpy at 0 K = -0.475 eV per atom
data_EuAlSi
_chemical_formula_sum 'Eu1 Al1 Si1'
_symmetry_space_group_name_H-M 'P 1'
_symmetry_Int_Tables_number 1
_symmetry_space_group_name_Hall 'P 1'
_cell_length_a 4.244
_cell_length_b 4.244
_cell_length_c 4.478
_cell_angle_alpha 90.00
_cell_angle_beta 90.00
_cell_angle_gamma 120.00
loop_
_atom_site_label
_atom_site_type_symbol
_atom_site_fract_x
_atom_site_fract_y
_atom_site_fract_z
Eu1 Eu 0.000 0.000 0.000
Al1 Al 0.667 0.333 0.500
Si1 Si 0.333 0.667 0.500


(5)
# PBE AlW2C, relaxed
# formation enthalpy at 0 K = 0.028 eV per atom
data_AlW2C
_chemical_formula_sum 'Al2 W4 C2'
_symmetry_space_group_name_H-M 'P 1'
_symmetry_Int_Tables_number 1
_symmetry_space_group_name_Hall 'P 1'
_cell_length_a 3.007
_cell_length_b 3.007
_cell_length_c 13.736
_cell_angle_alpha 90.00
_cell_angle_beta 90.00
_cell_angle_gamma 120.00
loop_
_atom_site_label
_atom_site_type_symbol
_atom_site_fract_x
_atom_site_fract_y
_atom_site_fract_z
Al1 Al 0.333 0.667 0.250
Al2 Al 0.667 0.333 0.750
W1 W 0.333 0.667 0.590
W2 W 0.333 0.667 0.910
W3 W 0.667 0.333 0.090
W4 W 0.667 0.333 0.410
C1 C 0.000 0.000 0.000
C2 C 0.000 0.000 0.500


(6)
# PBE Na7In4SiP5O24, relaxed
# formation enthalpy at 0 K = -2.530 eV per atom
data_Na7In4SiP5O24
_chemical_formula_sum 'Na21 In12 Si3 P15 O72'
_symmetry_space_group_name_H-M 'P 1'
_symmetry_Int_Tables_number 1
_symmetry_space_group_name_Hall 'P 1'
_cell_length_a 9.174
_cell_length_b 9.178
_cell_length_c 22.620
_cell_angle_alpha 89.95
_cell_angle_beta 89.78
_cell_angle_gamma 60.04
loop_
_atom_site_label
_atom_site_type_symbol
_atom_site_fract_x
_atom_site_fract_y
_atom_site_fract_z
Na1 Na 0.000 0.000 0.000
Na2 Na 0.001 0.628 0.253
Na3 Na 0.025 0.942 0.337
Na4 Na 0.028 0.305 0.832
Na5 Na 0.292 0.674 0.839
Na6 Na 0.320 0.339 0.670
Na7 Na 0.327 0.974 0.419
Na8 Na 0.331 0.607 0.165
Na9 Na 0.339 0.968 0.919
Na10 Na 0.358 0.280 0.004
Na11 Na 0.622 0.641 0.005
Na12 Na 0.628 0.005 0.502
Na13 Na 0.654 0.317 0.086
Na14 Na 0.654 0.318 0.585
Na15 Na 0.659 0.674 0.333
Na16 Na 0.694 0.966 0.171
Na17 Na 0.696 0.605 0.669
Na18 Na 0.957 0.343 0.170
Na19 Na 0.961 0.980 0.668
Na20 Na 0.982 0.647 0.753
Na21 Na 0.996 0.272 0.505
In1 In 0.001 0.634 0.403
In2 In 0.324 0.969 0.569
In3 In 0.329 0.967 0.071
In4 In 0.330 0.976 0.768
In5 In 0.332 0.976 0.269
In6 In 0.652 0.313 0.435
In7 In 0.655 0.311 0.238
In8 In 0.657 0.308 0.934
In9 In 0.663 0.304 0.737
In10 In 0.990 0.646 0.903
In11 In 0.994 0.640 0.101
In12 In 0.998 0.636 0.600
Si1 Si 0.026 0.274 0.669
Si2 Si 0.293 0.640 0.002
Si3 Si 0.630 0.671 0.170
P1 P 0.027 0.975 0.171
P2 P 0.295 0.338 0.504
P3 P 0.326 0.270 0.168
P4 P 0.327 0.676 0.671
P5 P 0.358 0.609 0.334
P6 P 0.360 0.306 0.836
P7 P 0.625 0.973 0.667
P8 P 0.660 0.608 0.836
P9 P 0.661 0.007 0.337
P10 P 0.694 0.641 0.502
P11 P 0.695 0.939 0.004
P12 P 0.960 0.306 0.337
P13 P 0.961 0.006 0.835
P14 P 0.993 0.940 0.501
P15 P 0.994 0.340 0.002
O1 O 0.006 0.463 0.666
O2 O 0.010 0.839 0.445
O3 O 0.015 0.812 0.166
O4 O 0.021 0.421 0.946
O5 O 0.102 0.010 0.114
O6 O 0.107 0.157 0.610
O7 O 0.133 0.143 0.332
O8 O 0.135 0.950 0.226
O9 O 0.138 0.990 0.834
O10 O 0.143 0.193 0.728
O11 O 0.148 0.964 0.504
O12 O 0.157 0.166 0.007
O13 O 0.163 0.667 0.664
O14 O 0.171 0.450 0.165
O15 O 0.178 0.425 0.452
O16 O 0.178 0.634 0.340
O17 O 0.178 0.673 0.943
O18 O 0.182 0.468 0.838
O19 O 0.212 0.606 0.061
O20 O 0.222 0.435 0.563
O21 O 0.291 0.188 0.221
O22 O 0.299 0.779 0.729
O23 O 0.309 0.812 0.004
O24 O 0.312 0.160 0.506
O25 O 0.336 0.150 0.834
O26 O 0.341 0.787 0.333
O27 O 0.352 0.169 0.110
O28 O 0.368 0.754 0.618
O29 O 0.431 0.512 0.276
O30 O 0.443 0.331 0.780
O31 O 0.459 0.288 0.893
O32 O 0.475 0.313 0.498
O33 O 0.476 0.522 0.387
O34 O 0.481 0.494 0.675
O35 O 0.482 0.471 0.999
O36 O 0.490 0.280 0.174
O37 O 0.497 0.782 0.832
O38 O 0.506 0.982 0.335
O39 O 0.513 0.968 0.007
O40 O 0.515 0.751 0.111
O41 O 0.520 0.803 0.506
O42 O 0.522 0.001 0.610
O43 O 0.546 0.932 0.720
O44 O 0.549 0.788 0.229
O45 O 0.633 0.527 0.892
O46 O 0.634 0.136 0.674
O47 O 0.644 0.108 0.394
O48 O 0.648 0.483 0.173
O49 O 0.684 0.477 0.498
O50 O 0.686 0.089 0.281
O51 O 0.686 0.112 0.997
O52 O 0.688 0.499 0.780
O53 O 0.776 0.669 0.446
O54 O 0.776 0.819 0.951
O55 O 0.796 0.867 0.061
O56 O 0.803 0.613 0.558
O57 O 0.806 0.819 0.663
O58 O 0.819 0.652 0.166
O59 O 0.824 0.617 0.840
O60 O 0.824 0.829 0.339
O61 O 0.830 0.118 0.499
O62 O 0.837 0.294 0.672
O63 O 0.839 0.316 0.997
O64 O 0.847 0.130 0.175
O65 O 0.851 0.334 0.281
O66 O 0.861 0.088 0.778
O67 O 0.877 0.114 0.891
O68 O 0.878 0.277 0.393
O69 O 0.959 0.450 0.058
O70 O 0.968 0.858 0.557
O71 O 0.970 0.470 0.341
O72 O 0.984 0.827 0.838


(7)
# PBE CaGaSn, relaxed
# formation enthalpy at 0 K = -0.500 eV per atom
data_CaGaSn
_chemical_formula_sum 'Ca4 Ga4 Sn4'
_symmetry_space_group_name_H-M 'P 1'
_symmetry_Int_Tables_number 1
_symmetry_space_group_name_Hall 'P 1'
_cell_length_a 4.560
_cell_length_b 4.560
_cell_length_c 17.288
_cell_angle_alpha 90.00
_cell_angle_beta 90.00
_cell_angle_gamma 120.00
loop_
_atom_site_label
_atom_site_type_symbol
_atom_site_fract_x
_atom_site_fract_y
_atom_site_fract_z
Ca1 Ca 0.000 0.000 0.000
Ca2 Ca 0.000 0.000 0.250
Ca3 Ca 0.000 0.000 0.500
Ca4 Ca 0.000 0.000 0.750
Ga1 Ga 0.333 0.667 0.165
Ga2 Ga 0.333 0.667 0.335
Ga3 Ga 0.667 0.333 0.665
Ga4 Ga 0.667 0.333 0.835
Sn1 Sn 0.333 0.667 0.612
Sn2 Sn 0.333 0.667 0.888
Sn3 Sn 0.667 0.333 0.112
Sn4 Sn 0.667 0.333 0.388


(8)
# PBE Ba6LiNb2IrCl2O12, relaxed
# formation enthalpy at 0 K = -2.794 eV per atom
# offset from the most stable computed form = 0 meV/atom
data_Ba6LiNb2IrCl2O12
_chemical_formula_sum 'Ba6 Li1 Nb2 Ir1 Cl2 O12'
_symmetry_space_group_name_H-M 'P 1'
_symmetry_Int_Tables_number 1
_symmetry_space_group_name_Hall 'P 1'
_cell_length_a 6.122
_cell_length_b 6.122
_cell_length_c 15.219
_cell_angle_alpha 95.15
_cell_angle_beta 95.15
_cell_angle_gamma 58.64
loop_
_atom_site_label
_atom_site_type_symbol
_atom_site_fract_x
_atom_site_fract_y
_atom_site_fract_z
Ba1 Ba 0.148 0.148 0.217
Ba2 Ba 0.171 0.171 0.637
Ba3 Ba 0.216 0.216 0.901
Ba4 Ba 0.784 0.784 0.099
Ba5 Ba 0.829 0.829 0.363
Ba6 Ba 0.852 0.852 0.783
Li1 Li 0.000 0.000 0.000
Nb1 Nb 0.471 0.471 0.181
Nb2 Nb 0.529 0.529 0.819
Ir1 Ir 0.500 0.500 0.000
Cl1 Cl 0.155 0.155 0.424
Cl2 Cl 0.845 0.845 0.576
O1 O 0.152 0.626 0.239
O2 O 0.202 0.705 0.909
O3 O 0.295 0.798 0.091
O4 O 0.338 0.338 0.069
O5 O 0.362 0.362 0.755
O6 O 0.374 0.848 0.761
O7 O 0.626 0.152 0.239
O8 O 0.638 0.638 0.245
O9 O 0.662 0.662 0.931
O10 O 0.705 0.202 0.909
O11 O 0.798 0.295 0.091
O12 O 0.848 0.374 0.761


(9)
# PBE CsLi2Cl3, relaxed
# formation enthalpy at 0 K = -2.179 eV per atom
data_CsLi2Cl3
_chemical_formula_sum 'Cs4 Li8 Cl12'
_symmetry_space_group_name_H-M 'P 1'
_symmetry_Int_Tables_number 1
_symmetry_space_group_name_Hall 'P 1'
_cell_length_a 12.596
_cell_length_b 7.474
_cell_length_c 6.886
_cell_angle_alpha 90.00
_cell_angle_beta 90.00
_cell_angle_gamma 90.00
loop_
_atom_site_label
_atom_site_type_symbol
_atom_site_fract_x
_atom_site_fract_y
_atom_site_fract_z
Cs1 Cs 0.000 0.193 0.250
Cs2 Cs 0.000 0.807 0.750
Cs3 Cs 0.500 0.307 0.750
Cs4 Cs 0.500 0.693 0.250
Li1 Li 0.186 0.351 0.739
Li2 Li 0.186 0.649 0.239
Li3 Li 0.314 0.149 0.239
Li4 Li 0.314 0.851 0.739
Li5 Li 0.686 0.149 0.261
Li6 Li 0.686 0.851 0.761
Li7 Li 0.814 0.351 0.761
Li8 Li 0.814 0.649 0.261
Cl1 Cl 0.000 0.315 0.750
Cl2 Cl 0.000 0.685 0.250
Cl3 Cl 0.247 0.100 0.558
Cl4 Cl 0.247 0.900 0.058
Cl5 Cl 0.253 0.400 0.058
Cl6 Cl 0.253 0.600 0.558
Cl7 Cl 0.500 0.185 0.250
Cl8 Cl 0.500 0.815 0.750
Cl9 Cl 0.747 0.400 0.442
Cl10 Cl 0.747 0.600 0.942
Cl11 Cl 0.753 0.100 0.942
Cl12 Cl 0.753 0.900 0.442


(10)
# PBE BaSbSe2F, relaxed
# formation enthalpy at 0 K = -1.802 eV per atom
data_BaSbSe2F
_chemical_formula_sum 'Ba4 Sb4 Se8 F4'
_symmetry_space_group_name_H-M 'P 1'
_symmetry_Int_Tables_number 1
_symmetry_space_group_name_Hall 'P 1'
_cell_length_a 6.315
_cell_length_b 6.451
_cell_length_c 14.274
_cell_angle_alpha 85.42
_cell_angle_beta 86.10
_cell_angle_gamma 89.90
loop_
_atom_site_label
_atom_site_type_symbol
_atom_site_fract_x
_atom_site_fract_y
_atom_site_fract_z
Ba1 Ba 0.230 0.477 0.107
Ba2 Ba 0.270 0.016 0.893
Ba3 Ba 0.730 0.984 0.107
Ba4 Ba 0.770 0.523 0.893
Sb1 Sb 0.236 0.971 0.373
Sb2 Sb 0.268 0.621 0.628
Sb3 Sb 0.732 0.379 0.372
Sb4 Sb 0.764 0.029 0.627
Se1 Se 0.154 0.370 0.385
Se2 Se 0.215 0.960 0.196
Se3 Se 0.284 0.530 0.803
Se4 Se 0.338 0.025 0.627
Se5 Se 0.662 0.975 0.373
Se6 Se 0.716 0.470 0.197
Se7 Se 0.785 0.040 0.804
Se8 Se 0.846 0.630 0.615
F1 F 0.000 0.249 0.998
F2 F 0.000 0.751 0.002
F3 F 0.500 0.253 0.998
F4 F 0.500 0.747 0.002


(11)
# PBE Al2O3, relaxed
# formation enthalpy at 0 K = -3.336 eV per atom
data_Al2O3
_chemical_formula_sum 'Al12 O18'
_symmetry_space_group_name_H-M 'P 1'
_symmetry_Int_Tables_number 1
_symmetry_space_group_name_Hall 'P 1'
_cell_length_a 7.114
_cell_length_b 2.914
_cell_length_c 13.842
_cell_angle_alpha 90.00
_cell_angle_beta 102.88
_cell_angle_gamma 90.00
loop_
_atom_site_label
_atom_site_type_symbol
_atom_site_fract_x
_atom_site_fract_y
_atom_site_fract_z
Al1 Al 0.033 0.250 0.412
Al2 Al 0.062 0.250 0.113
Al3 Al 0.302 0.250 0.787
Al4 Al 0.313 0.750 0.298
Al5 Al 0.326 0.750 0.972
Al6 Al 0.349 0.750 0.602
Al7 Al 0.651 0.250 0.398
Al8 Al 0.674 0.250 0.028
Al9 Al 0.687 0.250 0.702
Al10 Al 0.698 0.750 0.213
Al11 Al 0.938 0.750 0.887
Al12 Al 0.967 0.750 0.588
O1 O 0.142 0.250 0.655
O2 O 0.146 0.750 0.496
O3 O 0.158 0.250 0.998
O4 O 0.167 0.750 0.840
O5 O 0.185 0.750 0.168
O6 O 0.195 0.250 0.330
O7 O 0.445 0.750 0.743
O8 O 0.459 0.250 0.922
O9 O 0.487 0.250 0.593
O10 O 0.513 0.750 0.407
O11 O 0.541 0.750 0.078
O12 O 0.555 0.250 0.257
O13 O 0.805 0.750 0.670
O14 O 0.815 0.250 0.832
O15 O 0.833 0.250 0.160
O16 O 0.842 0.750 0.002
O17 O 0.854 0.250 0.504
O18 O 0.858 0.750 0.345


(12)
# PBE LaReN3, relaxed
# formation enthalpy at 0 K = -0.951 eV per atom
data_LaReN3
_chemical_formula_sum 'La1 Re1 N3'
_symmetry_space_group_name_H-M 'P 1'
_symmetry_Int_Tables_number 1
_symmetry_space_group_name_Hall 'P 1'
_cell_length_a 3.970
_cell_length_b 3.970
_cell_length_c 3.970
_cell_angle_alpha 90.00
_cell_angle_beta 90.00
_cell_angle_gamma 90.00
loop_
_atom_site_label
_atom_site_type_symbol
_atom_site_fract_x
_atom_site_fract_y
_atom_site_fract_z
La1 La 0.000 0.000 0.000
Re1 Re 0.500 0.500 0.500
N1 N 0.000 0.500 0.500
N2 N 0.500 0.000 0.500
N3 N 0.500 0.500 0.000


Question: The highest formation enthalpy at 0 K belongs to which entry?
Answer: AlW2C


Question: Among the records above, which one has the highest formation enthalpy at 0 K?
Answer: AlW2C